# 1
DFT (PBE-GGA) results for an optimized crystal structure of Er4MgGe4.

a b c (Å): 7.1728 14.4587 7.7172
angles (deg): 90.00 90.00 90.00
Space group Pnma (No. 62)
One atom of each set of equivalent atoms:
Er: 0.0089 0.0945 0.1827 x8
Er: 0.1691 0.1266 0.6772 x8
Mg: 0.1609 0.7500 0.5157 x4
Ge: 0.0249 0.7500 0.0916 x4
Ge: 0.1721 0.5362 0.4659 x8
Ge: 0.2107 0.2500 0.3611 x4


# 2
DFT (PBE-GGA) results for an optimized crystal structure of ErMn2Ge2.

a b c (Å): 3.9183 3.9183 10.8431
angles (deg): 90.00 90.00 90.00
Space group I4/mmm (No. 139)
One atom of each set of equivalent atoms:
Er: 0.0000 0.0000 0.0000 x2
Mn: 0.0000 0.5000 0.2500 x4
Ge: 0.0000 0.0000 0.3819 x4


# 3
DFT (PBE-GGA) results for an optimized crystal structure of ErMnGe.

a b c (Å): 7.0017 4.0690 7.9151
angles (deg): 90.00 90.00 90.00
Space group Pnma (No. 62)
One atom of each set of equivalent atoms:
Er: 0.0257 0.2500 0.1801 x4
Mn: 0.1324 0.2500 0.5536 x4
Ge: 0.2258 0.7500 0.3785 x4


# 4
DFT (PBE-GGA) results for an optimized crystal structure of ErMn6Ge6.

a b c (Å): 5.1722 5.1722 8.1390
angles (deg): 90.00 90.00 120.00
Space group P6/mmm (No. 191)
One atom of each set of equivalent atoms:
Er: 0.0000 0.0000 0.0000 x1
Mn: 0.0000 0.5000 0.2505 x6
Ge: 0.0000 0.0000 0.3437 x2
Ge: 0.3333 0.6667 0.0000 x2
Ge: 0.3333 0.6667 0.5000 x2


# 5
DFT (PBE-GGA) results for an optimized crystal structure of Er4MnGe8.

a b c (Å): 3.9868 4.1651 15.8585
angles (deg): 90.00 90.00 90.00
Space group Pmm2 (No. 25)
One atom of each set of equivalent atoms:
Er: 0.0000 0.0000 0.0000 x1
Er: 0.0000 0.5000 0.4948 x1
Er: 0.5000 0.0000 0.7927 x1
Er: 0.5000 0.5000 0.2897 x1
Mn: 0.0000 0.5000 0.7042 x1
Ge: 0.0000 0.0000 0.3391 x1
Ge: 0.0000 0.0000 0.6343 x1
Ge: 0.0000 0.5000 0.1421 x1
Ge: 0.0000 0.5000 0.8527 x1
Ge: 0.5000 0.0000 0.1461 x1
Ge: 0.5000 0.0000 0.4481 x1
Ge: 0.5000 0.5000 0.6298 x1
Ge: 0.5000 0.5000 0.9579 x1


# 6
DFT (PBE-GGA) results for an optimized crystal structure of Er6MnGe2S14.

a b c (Å): 9.8542 9.8542 5.6742
angles (deg): 90.00 90.00 120.00
Space group P3 (No. 143)
One atom of each set of equivalent atoms:
Er: 0.0227 0.4581 0.0000 x3
Er: 0.3108 0.2089 0.4997 x3
Mn: 0.6667 0.3333 0.7366 x1
Ge: 0.0000 0.0000 0.0782 x1
Ge: 0.3333 0.6667 0.5823 x1
S: 0.0000 0.0000 0.6950 x1
S: 0.0817 0.2342 0.2473 x3
S: 0.1811 0.7486 0.7507 x3
S: 0.3333 0.6667 0.1986 x1
S: 0.4141 0.2411 0.9681 x3
S: 0.5035 0.0810 0.4891 x3


# 7
DFT (PBE-GGA) results for an optimized crystal structure of ErMn6Sn4Ge2.

a b c (Å): 5.3464 5.3464 8.6646
angles (deg): 90.00 90.00 120.00
Space group P6/mmm (No. 191)
One atom of each set of equivalent atoms:
Er: 0.0000 0.0000 0.0000 x1
Mn: 0.0000 0.5000 0.2325 x6
Sn: 0.0000 0.0000 0.3332 x2
Sn: 0.3333 0.6667 0.5000 x2
Ge: 0.3333 0.6667 0.0000 x2


# 8
DFT (PBE-GGA) results for an optimized crystal structure of Er2Nb3Ge4.

a b c (Å): 7.0067 13.5940 7.1816
angles (deg): 90.00 90.00 90.00
Space group Pnma (No. 62)
One atom of each set of equivalent atoms:
Er: 0.0038 0.0946 0.1743 x8
Nb: 0.1594 0.6264 0.3288 x8
Nb: 0.1651 0.2500 0.5120 x4
Ge: 0.0406 0.2500 0.8793 x4
Ge: 0.1753 0.0415 0.5379 x8
Ge: 0.1946 0.7500 0.6395 x4


# 9
DFT (PBE-GGA) results for an optimized crystal structure of Er2NiGe6.

a b c (Å): 4.0458 4.0178 21.3459
angles (deg): 90.00 90.00 90.00
Space group Amm2 (No. 38)
One atom of each set of equivalent atoms:
Er: 0.0000 0.0000 0.0000 x2
Er: 0.0000 0.0000 0.3371 x2
Ni: 0.5000 0.0000 0.7792 x2
Ge: 0.0000 0.0000 0.6043 x2
Ge: 0.0000 0.0000 0.7217 x2
Ge: 0.5000 0.0000 0.1034 x2
Ge: 0.5000 0.0000 0.2216 x2
Ge: 0.5000 0.0000 0.4616 x2
Ge: 0.5000 0.0000 0.8867 x2


# 10
DFT (PBE-GGA) results for an optimized crystal structure of ErNiGe2.

a b c (Å): 4.1455 8.5036 15.9306
angles (deg): 90.00 90.00 90.00
Space group Immm (No. 71)
One atom of each set of equivalent atoms:
Er: 0.0000 0.0000 0.2040 x4
Er: 0.0000 0.2402 0.0000 x4
Ni: 0.0000 0.2510 0.3523 x8
Ge: 0.0000 0.0000 0.4204 x4
Ge: 0.0000 0.3425 0.1961 x8
Ge: 0.0000 0.5000 0.4230 x4


# 11
DFT (PBE-GGA) results for an optimized crystal structure of Er3NiGe2.

a b c (Å): 11.2658 4.1277 11.2080
angles (deg): 90.00 90.00 90.00
Space group Pnma (No. 62)
One atom of each set of equivalent atoms:
Er: 0.0580 0.2500 0.1268 x4
Er: 0.1179 0.7500 0.5586 x4
Er: 0.2176 0.2500 0.8033 x4
Ni: 0.1305 0.2500 0.3665 x4
Ge: 0.0195 0.7500 0.3122 x4
Ge: 0.1928 0.7500 0.9972 x4


# 12
DFT (PBE-GGA) results for an optimized crystal structure of ErNi5Ge3.

a b c (Å): 19.0564 3.8444 6.8533
angles (deg): 90.00 90.00 90.00
Space group Pnma (No. 62)
One atom of each set of equivalent atoms:
Er: 0.1455 0.2500 0.1215 x4
Ni: 0.0039 0.7500 0.1296 x4
Ni: 0.0121 0.2500 0.3792 x4
Ni: 0.1117 0.2500 0.6390 x4
Ni: 0.2011 0.7500 0.8124 x4
Ni: 0.2067 0.7500 0.4248 x4
Ge: 0.0773 0.7500 0.8524 x4
Ge: 0.0852 0.7500 0.4026 x4
Ge: 0.2368 0.2500 0.6172 x4


Computed E_form, in the same sequence as the records: -0.7940; -0.4752; -0.5002; -0.3235; -0.5462; -1.7776; -0.2260; -0.7395; -0.4994; -0.6914; -0.7966; -0.5308 eV per atom.